## MgMnPO5 (PBE with a Hubbard U)

Data for a relaxed MgMnPO5 crystal.

abc: 6.886 6.907 8.375
angles: 90.07 90.03 66.04
Element x y z (fractional)
O  0.571  0.393  0.200
O  0.355  0.352  0.487
O  0.698  0.577  0.488
O  0.422  0.618  0.757
O  0.422  0.131  0.748
O  0.922  0.131  0.248
O  0.257  0.233  0.158
O  0.922  0.618  0.257
O  0.752  0.735  0.837
O  0.354  0.849  0.013
O  0.071  0.393  0.700
O  0.198  0.577  0.988
O  0.757  0.233  0.658
O  0.855  0.352  0.987
O  0.854  0.849  0.513
O  0.574  0.892  0.295
O  0.717  0.066  0.014
O  0.252  0.735  0.337
O  0.074  0.892  0.795
O  0.217  0.066  0.514
Mn  0.246  0.492  0.240
Mn  0.748  0.992  0.757
Mn  0.746  0.492  0.740
Mn  0.248  0.992  0.257
P  0.267  0.234  0.606
P  0.264  0.733  0.895
P  0.764  0.733  0.395
P  0.767  0.234  0.106
Mg  0.677  0.298  0.432
Mg  0.682  0.793  0.066
Mg  0.177  0.298  0.932
Mg  0.182  0.793  0.566

Computed properties:
DFT formation energy (kJ/mol of formula units): -2038